#w
# SrLa2Co3O9, optimized geometry, DFT GGA+U
# **Size of the total moment**: 0.08 μB per cell
data_SrLa2Co3O9
_cell_length_a 5.462
_cell_length_b 5.540
_cell_length_c 13.668
_cell_angle_alpha 90.20
_cell_angle_beta 90.16
_cell_angle_gamma 119.34
_symmetry_space_group_name_H-M 'P 1'
_symmetry_Int_Tables_number 1
_symmetry_space_group_name_Hall 'P 1'
loop_
_atom_site_label
_atom_site_type_symbol
_atom_site_fract_x
_atom_site_fract_y
_atom_site_fract_z
Sr1 Sr 0.000 0.000 0.000
Sr2 Sr 0.019 0.994 0.497
La1 La 0.342 0.680 0.834
La2 La 0.353 0.671 0.329
La3 La 0.665 0.320 0.166
La4 La 0.676 0.314 0.664
Co1 Co 0.009 0.996 0.248
Co2 Co 0.009 0.996 0.748
Co3 Co 0.339 0.663 0.076
Co4 Co 0.345 0.660 0.578
Co5 Co 0.674 0.334 0.918
Co6 Co 0.680 0.331 0.421
O1 O 0.046 0.490 0.474
O2 O 0.120 0.751 0.658
O3 O 0.140 0.269 0.659
O4 O 0.156 0.297 0.170
O5 O 0.235 0.861 0.186
O6 O 0.354 0.226 0.344
O7 O 0.380 0.157 0.805
O8 O 0.459 0.474 0.977
O9 O 0.494 0.990 0.994
O10 O 0.527 0.007 0.505
O11 O 0.561 0.520 0.520
O12 O 0.638 0.834 0.692
O13 O 0.664 0.766 0.153
O14 O 0.784 0.132 0.310
O15 O 0.862 0.696 0.327
O16 O 0.879 0.724 0.838
O17 O 0.899 0.241 0.839
O18 O 0.975 0.506 0.023

#x
# SrLa2Co3O9, optimized geometry, DFT GGA+U
# **Size of the total moment**: 10.00 μB per cell
data_SrLa2Co3O9
_cell_length_a 5.501
_cell_length_b 8.636
_cell_length_c 8.685
_cell_angle_alpha 66.39
_cell_angle_beta 71.68
_cell_angle_gamma 71.53
_symmetry_space_group_name_H-M 'P 1'
_symmetry_Int_Tables_number 1
_symmetry_space_group_name_Hall 'P 1'
loop_
_atom_site_label
_atom_site_type_symbol
_atom_site_fract_x
_atom_site_fract_y
_atom_site_fract_z
Sr1 Sr 0.000 0.000 0.000
Sr2 Sr 0.500 0.497 0.500
La1 La 0.170 0.493 0.169
La2 La 0.331 0.997 0.332
La3 La 0.671 0.001 0.659
La4 La 0.836 0.494 0.834
Co1 Co 0.084 0.248 0.582
Co2 Co 0.251 0.747 0.750
Co3 Co 0.419 0.246 0.916
Co4 Co 0.585 0.747 0.084
Co5 Co 0.750 0.248 0.248
Co6 Co 0.917 0.747 0.415
O1 O 0.002 0.496 0.497
O2 O 0.073 0.753 0.580
O3 O 0.080 0.253 0.088
O4 O 0.174 0.004 0.651
O5 O 0.243 0.747 0.251
O6 O 0.250 0.251 0.747
O7 O 0.334 0.492 0.845
O8 O 0.420 0.244 0.410
O9 O 0.433 0.746 0.912
O10 O 0.497 0.002 0.002
O11 O 0.579 0.253 0.087
O12 O 0.590 0.752 0.582
O13 O 0.669 0.495 0.159
O14 O 0.752 0.251 0.747
O15 O 0.752 0.748 0.248
O16 O 0.833 0.000 0.338
O17 O 0.919 0.744 0.909
O18 O 0.923 0.243 0.411

It comes down to #w, which is 2.1 kJ/mol of atoms more stable than the next structure.

#w
# SrLa2Co3O9, optimized geometry, DFT GGA+U
# **Size of the total moment**: 9.02 μB per cell
data_SrLa2Co3O9
_cell_length_a 5.477
_cell_length_b 5.517
_cell_length_c 6.697
_cell_angle_alpha 89.10
_cell_angle_beta 89.59
_cell_angle_gamma 60.25
_symmetry_space_group_name_H-M 'P 1'
_symmetry_Int_Tables_number 1
_symmetry_space_group_name_Hall 'P 1'
loop_
_atom_site_label
_atom_site_type_symbol
_atom_site_fract_x
_atom_site_fract_y
_atom_site_fract_z
Sr1 Sr 0.000 0.000 0.000
La1 La 0.331 0.333 0.669
La2 La 0.669 0.666 0.338
Co1 Co 0.000 0.000 0.498
Co2 Co 0.335 0.333 0.166
Co3 Co 0.666 0.665 0.840
O1 O 0.012 0.497 0.999
O2 O 0.174 0.175 0.339
O3 O 0.174 0.654 0.336
O4 O 0.328 0.826 0.655
O5 O 0.498 0.011 0.000
O6 O 0.503 0.504 0.000
O7 O 0.664 0.167 0.337
O8 O 0.819 0.824 0.660
O9 O 0.821 0.338 0.655

#x
# SrLa2Co3O9, optimized geometry, DFT GGA+U
# **Size of the total moment**: 0.05 μB per cell
data_SrLa2Co3O9
_cell_length_a 5.435
_cell_length_b 5.479
_cell_length_c 13.467
_cell_angle_alpha 90.96
_cell_angle_beta 90.04
_cell_angle_gamma 119.71
_symmetry_space_group_name_H-M 'P 1'
_symmetry_Int_Tables_number 1
_symmetry_space_group_name_Hall 'P 1'
loop_
_atom_site_label
_atom_site_type_symbol
_atom_site_fract_x
_atom_site_fract_y
_atom_site_fract_z
Sr1 Sr 0.000 0.000 0.000
Sr2 Sr 0.004 0.999 0.500
La1 La 0.337 0.670 0.831
La2 La 0.338 0.668 0.331
La3 La 0.669 0.330 0.168
La4 La 0.669 0.332 0.669
Co1 Co 0.003 0.001 0.750
Co2 Co 0.004 0.999 0.250
Co3 Co 0.333 0.666 0.081
Co4 Co 0.337 0.666 0.580
Co5 Co 0.666 0.334 0.919
Co6 Co 0.671 0.332 0.419
O1 O 0.008 0.499 0.506
O2 O 0.160 0.818 0.169
O3 O 0.161 0.324 0.172
O4 O 0.170 0.327 0.673
O5 O 0.178 0.838 0.676
O6 O 0.342 0.180 0.831
O7 O 0.345 0.166 0.323
O8 O 0.493 0.504 0.003
O9 O 0.495 0.000 0.000
O10 O 0.505 0.996 0.499
O11 O 0.507 0.493 0.497
O12 O 0.663 0.834 0.177
O13 O 0.665 0.822 0.669
O14 O 0.830 0.165 0.825
O15 O 0.838 0.675 0.828
O16 O 0.847 0.674 0.329
O17 O 0.849 0.181 0.332
O18 O 0.988 0.497 0.998

It comes down to #x, which is 3.6 kJ/mol of atoms more stable than the next structure.

#w
# LiMg6CoO8, optimized geometry, DFT GGA+U
# **Size of the total moment**: 2.00 μB per cell
data_LiMg6CoO8
_cell_length_a 4.206
_cell_length_b 4.206
_cell_length_c 8.491
_cell_angle_alpha 90.00
_cell_angle_beta 90.00
_cell_angle_gamma 90.00
_symmetry_space_group_name_H-M 'P 4/m m m'
_symmetry_Int_Tables_number 123
_symmetry_space_group_name_Hall '-P 4 2'
loop_
_atom_site_label
_atom_site_type_symbol
_atom_site_fract_x
_atom_site_fract_y
_atom_site_fract_z
Li1 Li 0.000 0.000 0.000
Mg1 Mg 0.000 0.000 0.500
Mg2 Mg 0.000 0.500 0.243
Mg3 Mg 0.500 0.500 0.500
Co1 Co 0.500 0.500 0.000
O1 O 0.000 0.000 0.256
O2 O 0.000 0.500 0.000
O3 O 0.000 0.500 0.500
O4 O 0.500 0.500 0.236

#x
# LiMg6CoO8, optimized geometry, DFT GGA+U
# **Size of the total moment**: 2.00 μB per cell
data_LiMg6CoO8
_cell_length_a 4.236
_cell_length_b 4.236
_cell_length_c 8.423
_cell_angle_alpha 90.00
_cell_angle_beta 90.00
_cell_angle_gamma 90.00
_symmetry_space_group_name_H-M 'P 4/m m m'
_symmetry_Int_Tables_number 123
_symmetry_space_group_name_Hall '-P 4 2'
loop_
_atom_site_label
_atom_site_type_symbol
_atom_site_fract_x
_atom_site_fract_y
_atom_site_fract_z
Li1 Li 0.000 0.000 0.000
Mg1 Mg 0.000 0.500 0.242
Mg2 Mg 0.500 0.500 0.000
Mg3 Mg 0.500 0.500 0.500
Co1 Co 0.000 0.000 0.500
O1 O 0.000 0.000 0.274
O2 O 0.000 0.500 0.000
O3 O 0.000 0.500 0.500
O4 O 0.500 0.500 0.253

It comes down to #w, which is 2.0 kJ/mol of atoms more stable than the next structure.

#w
# Li4MnCo2NiO8, optimized geometry, DFT GGA+U
# **Size of the total moment**: 26.07 μB per cell
data_Li4MnCo2NiO8
_cell_length_a 9.895
_cell_length_b 2.954
_cell_length_c 10.128
_cell_angle_alpha 90.00
_cell_angle_beta 100.54
_cell_angle_gamma 90.00
_symmetry_space_group_name_H-M 'C 1 m 1'
_symmetry_Int_Tables_number 8
_symmetry_space_group_name_Hall 'C -2y'
loop_
_atom_site_label
_atom_site_type_symbol
_atom_site_fract_x
_atom_site_fract_y
_atom_site_fract_z
Li1 Li 0.000 0.000 0.000
Li2 Li 0.000 0.000 0.484
Li3 Li 0.493 0.000 0.754
Li4 Li 0.497 0.000 0.243
Mn1 Mn 0.247 0.500 0.620
Co1 Co 0.245 0.500 0.130
Co2 Co 0.251 0.000 0.882
Ni1 Ni 0.245 0.000 0.368
O1 O 0.126 0.000 0.179
O2 O 0.132 0.500 0.934
O3 O 0.133 0.500 0.447
O4 O 0.141 0.000 0.682
O5 O 0.357 0.000 0.567
O6 O 0.360 0.500 0.799
O7 O 0.362 0.000 0.051
O8 O 0.366 0.500 0.299

#x
# Li4MnCo2NiO8, optimized geometry, DFT GGA+U
# **Size of the total moment**: 9.00 μB per cell
data_Li4MnCo2NiO8
_cell_length_a 5.084
_cell_length_b 2.949
_cell_length_c 9.932
_cell_angle_alpha 90.00
_cell_angle_beta 100.86
_cell_angle_gamma 90.00
_symmetry_space_group_name_H-M 'P 1 2/m 1'
_symmetry_Int_Tables_number 10
_symmetry_space_group_name_Hall '-P 2y'
loop_
_atom_site_label
_atom_site_type_symbol
_atom_site_fract_x
_atom_site_fract_y
_atom_site_fract_z
Li1 Li 0.242 0.000 0.240
Li2 Li 0.255 0.500 0.767
Mn1 Mn 0.500 0.500 0.500
Co1 Co 0.000 0.000 0.500
Co2 Co 0.000 0.500 0.000
Ni1 Ni 0.500 0.000 0.000
O1 O 0.125 0.000 0.881
O2 O 0.145 0.500 0.389
O3 O 0.350 0.500 0.114
O4 O 0.390 0.000 0.609

It comes down to #w, which is 1.5 kJ/mol of atoms more stable than the next structure.

#w
# Li4MnCo2NiO8, optimized geometry, DFT GGA+U
# **Size of the total moment**: 18.53 μB per cell
data_Li4MnCo2NiO8
_cell_length_a 2.9266
_cell_length_b 2.9266
_cell_length_c 57.6382
_cell_angle_alpha 90.00
_cell_angle_beta 90.00
_cell_angle_gamma 120.00
_symmetry_space_group_name_H-M 'R 3 m'
_symmetry_Int_Tables_number 160
_symmetry_space_group_name_Hall 'R 3 -2"'
loop_
_atom_site_label
_atom_site_type_symbol
_atom_site_fract_x
_atom_site_fract_y
_atom_site_fract_z
Li1 Li 0.0000 0.0000 0.0000
Li2 Li 0.0000 0.0000 0.2461
Li3 Li 0.0000 0.0000 0.4983
Li4 Li 0.0000 0.0000 0.7500
Mn1 Mn 0.0000 0.0000 0.6238
Co1 Co 0.0000 0.0000 0.1233
Co2 Co 0.0000 0.0000 0.3740
Ni1 Ni 0.0000 0.0000 0.8733
O1 O 0.0000 0.0000 0.0595
O2 O 0.0000 0.0000 0.1879
O3 O 0.0000 0.0000 0.3097
O4 O 0.0000 0.0000 0.4391
O5 O 0.0000 0.0000 0.5595
O6 O 0.0000 0.0000 0.6878
O7 O 0.0000 0.0000 0.8072
O8 O 0.0000 0.0000 0.9382

#x
# Li4MnCo2NiO8, optimized geometry, DFT GGA+U
# **Size of the total moment**: 13.00 μB per cell
data_Li4MnCo2NiO8
_cell_length_a 5.146
_cell_length_b 2.943
_cell_length_c 9.765
_cell_angle_alpha 90.00
_cell_angle_beta 101.03
_cell_angle_gamma 90.00
_symmetry_space_group_name_H-M 'P 1 2/m 1'
_symmetry_Int_Tables_number 10
_symmetry_space_group_name_Hall '-P 2y'
loop_
_atom_site_label
_atom_site_type_symbol
_atom_site_fract_x
_atom_site_fract_y
_atom_site_fract_z
Li1 Li 0.000 0.000 0.000
Li2 Li 0.249 0.500 0.261
Li3 Li 0.500 0.000 0.500
Mn1 Mn 0.500 0.500 0.000
Co1 Co 0.239 0.000 0.740
Ni1 Ni 0.000 0.500 0.500
O1 O 0.098 0.000 0.370
O2 O 0.157 0.500 0.879
O3 O 0.376 0.500 0.633
O4 O 0.398 0.000 0.113

It comes down to #x, which is 5.7 kJ/mol of atoms more stable than the next structure.

#w
# Li7Mn2Co3O12, optimized geometry, DFT GGA+U
# **Size of the total moment**: 8.00 μB per cell
data_Li7Mn2Co3O12
_cell_length_a 5.078
_cell_length_b 5.855
_cell_length_c 7.644
_cell_angle_alpha 79.76
_cell_angle_beta 77.70
_cell_angle_gamma 74.10
_symmetry_space_group_name_H-M 'P 1'
_symmetry_Int_Tables_number 1
_symmetry_space_group_name_Hall 'P 1'
loop_
_atom_site_label
_atom_site_type_symbol
_atom_site_fract_x
_atom_site_fract_y
_atom_site_fract_z
Li1 Li 0.000 0.000 0.000
Li2 Li 0.001 0.169 0.326
Li3 Li 0.002 0.505 0.998
Li4 Li 0.004 0.682 0.323
Li5 Li 0.498 0.842 0.160
Li6 Li 0.994 0.847 0.659
Li7 Li 0.999 0.339 0.658
Mn1 Mn 0.501 0.165 0.829
Mn2 Mn 0.501 0.337 0.158
Co1 Co 0.492 0.004 0.486
Co2 Co 0.501 0.673 0.828
Co3 Co 0.507 0.514 0.485
O1 O 0.260 0.843 0.423
O2 O 0.261 0.023 0.748
O3 O 0.266 0.343 0.394
O4 O 0.278 0.182 0.068
O5 O 0.283 0.650 0.067
O6 O 0.291 0.491 0.744
O7 O 0.719 0.176 0.587
O8 O 0.720 0.852 0.899
O9 O 0.725 0.498 0.251
O10 O 0.725 0.681 0.589
O11 O 0.731 0.031 0.245
O12 O 0.733 0.320 0.921

#x
# Li7Mn2Co3O12, optimized geometry, DFT GGA+U
# **Size of the total moment**: 29.57 μB per cell
data_Li7Mn2Co3O12
_cell_length_a 29.154
_cell_length_b 2.925
_cell_length_c 5.121
_cell_angle_alpha 90.00
_cell_angle_beta 99.13
_cell_angle_gamma 90.00
_symmetry_space_group_name_H-M 'C 1 m 1'
_symmetry_Int_Tables_number 8
_symmetry_space_group_name_Hall 'C -2y'
loop_
_atom_site_label
_atom_site_type_symbol
_atom_site_fract_x
_atom_site_fract_y
_atom_site_fract_z
Li1 Li 0.000 0.000 0.000
Li2 Li 0.001 0.500 0.502
Li3 Li 0.173 0.000 0.829
Li4 Li 0.174 0.500 0.334
Li5 Li 0.344 0.500 0.157
Li6 Li 0.345 0.000 0.668
Li7 Li 0.423 0.000 0.083
Mn1 Mn 0.089 0.000 0.417
Mn2 Mn 0.256 0.000 0.246
Co1 Co 0.088 0.500 0.918
Co2 Co 0.257 0.500 0.748
Co3 Co 0.423 0.500 0.583
O1 O 0.050 0.500 0.244
O2 O 0.053 0.000 0.705
O3 O 0.126 0.000 0.130
O4 O 0.127 0.500 0.591
O5 O 0.218 0.000 0.528
O6 O 0.218 0.500 0.065
O7 O 0.293 0.500 0.422
O8 O 0.295 0.000 0.970
O9 O 0.385 0.500 0.833
O10 O 0.386 0.000 0.393
O11 O 0.459 0.500 0.330
O12 O 0.461 0.000 0.777

#y
# Li7Mn2Co3O12, optimized geometry, DFT GGA+U
# **Size of the total moment**: 16.00 μB per cell
data_Li7Mn2Co3O12
_cell_length_a 15.368
_cell_length_b 2.901
_cell_length_c 10.313
_cell_angle_alpha 90.00
_cell_angle_beta 109.91
_cell_angle_gamma 90.00
_symmetry_space_group_name_H-M 'C 1 m 1'
_symmetry_Int_Tables_number 8
_symmetry_space_group_name_Hall 'C -2y'
loop_
_atom_site_label
_atom_site_type_symbol
_atom_site_fract_x
_atom_site_fract_y
_atom_site_fract_z
Li1 Li 0.000 0.000 0.000
Li2 Li 0.001 0.000 0.507
Li3 Li 0.171 0.500 0.176
Li4 Li 0.173 0.500 0.667
Li5 Li 0.335 0.500 0.590
Li6 Li 0.338 0.000 0.822
Li7 Li 0.342 0.000 0.354
Mn1 Mn 0.168 0.000 0.920
Mn2 Mn 0.176 0.000 0.429
Co1 Co 0.005 0.500 0.255
Co2 Co 0.340 0.500 0.091
Co3 Co 0.490 0.000 0.735
O1 O 0.087 0.000 0.734
O2 O 0.088 0.000 0.226
O3 O 0.096 0.500 0.456
O4 O 0.098 0.500 0.962
O5 O 0.244 0.500 0.885
O6 O 0.245 0.500 0.384
O7 O 0.246 0.000 0.613
O8 O 0.255 0.000 0.114
O9 O 0.416 0.000 0.053
O10 O 0.422 0.500 0.290
O11 O 0.426 0.500 0.797
O12 O 0.428 0.000 0.554

It comes down to #w, which is 4.5 kJ/mol of atoms more stable than the next structure.